Density functional theory data (PBE+U) for a relaxed structure of Li4Fe2C4SO16.

Unit cell a=9.7295 b=9.6465 c=9.3137 alpha=61.72 beta=60.82 gamma=57.46
Fractional positions:
Li: 0.9525 0.5475 0.9525
Li: 0.5458 0.9542 0.9542
Li: 0.2958 0.7042 0.7042
Li: 0.7025 0.2975 0.7025
Li: 0.5475 0.9525 0.5475
Li: 0.9542 0.5458 0.5458
Li: 0.7042 0.2958 0.2958
Li: 0.2975 0.7025 0.2975
Fe: 0.1250 0.1250 0.1250
Fe: 0.1250 0.1250 0.6250
Fe: 0.1250 0.6250 0.1250
Fe: 0.6250 0.1250 0.1250
C: 0.9171 0.9103 0.8943
C: 0.3397 0.3329 0.9717
C: 0.8943 0.2783 0.9171
C: 0.2783 0.8943 0.9103
C: 0.9717 0.3557 0.3397
C: 0.3557 0.9717 0.3329
C: 0.9103 0.9171 0.2783
C: 0.3329 0.3397 0.3557
S: 0.5000 0.5000 0.5000
S: 0.7500 0.7500 0.7500
O: 0.9370 0.7657 0.0145
O: 0.3078 0.5784 0.5580
O: 0.0441 0.9288 0.7577
O: 0.3212 0.2059 0.9806
O: 0.7577 0.2694 0.0441
O: 0.2129 0.4834 0.9661
O: 0.5580 0.5559 0.3078
O: 0.5784 0.3078 0.5559
O: 0.3376 0.9661 0.4834
O: 0.2694 0.7577 0.9288
O: 0.4843 0.3130 0.9672
O: 0.5559 0.5580 0.5784
O: 0.0145 0.2828 0.9370
O: 0.2828 0.0145 0.7657
O: 0.7666 0.0371 0.9124
O: 0.9661 0.3376 0.2129
O: 0.2839 0.9124 0.0371
O: 0.4834 0.2129 0.3376
O: 0.9672 0.2355 0.4843
O: 0.2355 0.9672 0.3130
O: 0.6941 0.6920 0.6716
O: 0.7657 0.9370 0.2828
O: 0.9806 0.4923 0.3212
O: 0.9124 0.2839 0.7666
O: 0.6716 0.9422 0.6941
O: 0.6920 0.6941 0.9422
O: 0.0371 0.7666 0.2839
O: 0.4923 0.9806 0.2059
O: 0.9288 0.0441 0.2694
O: 0.2059 0.3212 0.4923
O: 0.9422 0.6716 0.6920
O: 0.3130 0.4843 0.2355

Output
E_form	-1.949	eV per atom
total magnetic moment	20.0	μB per cell
total energy	-6.74	eV/atom



Density functional theory data (PBE+U) for a relaxed structure of Li2FeCSO7.

Unit cell a=8.1447 b=8.1442 c=9.8621 alpha=103.60 beta=103.57 gamma=104.58
Fractional positions:
Li: 0.4515 0.9353 0.1734
Li: 0.9515 0.4356 0.1741
Li: 0.6851 0.7018 0.1743
Li: 0.1847 0.2012 0.1727
Li: 0.0483 0.5647 0.8263
Li: 0.5485 0.0646 0.8260
Li: 0.8146 0.7982 0.8255
Li: 0.3150 0.2987 0.8271
Fe: 0.4362 0.6865 0.3548
Fe: 0.0636 0.8136 0.6451
Fe: 0.9366 0.1865 0.3542
Fe: 0.5636 0.3134 0.6460
C: 0.7761 0.0260 0.0729
C: 0.2761 0.5264 0.0736
C: 0.7239 0.4740 0.9272
C: 0.2238 0.9737 0.9263
S: 0.7065 0.4561 0.4092
S: 0.2064 0.9567 0.4087
S: 0.7936 0.0439 0.5909
S: 0.2938 0.5432 0.5913
O: 0.3047 0.0547 0.0633
O: 0.8048 0.5553 0.0641
O: 0.1951 0.4454 0.9366
O: 0.6951 0.9448 0.9359
O: 0.9182 0.1683 0.1198
O: 0.4184 0.6684 0.1206
O: 0.5818 0.3317 0.8803
O: 0.0815 0.8316 0.8793
O: 0.7209 0.9712 0.1751
O: 0.2209 0.4713 0.1756
O: 0.7790 0.5288 0.8249
O: 0.2790 0.0288 0.8243
O: 0.6721 0.9220 0.4461
O: 0.1724 0.4220 0.4463
O: 0.8279 0.5781 0.5540
O: 0.3277 0.0780 0.5537
O: 0.5674 0.3155 0.4317
O: 0.0660 0.8167 0.4306
O: 0.9328 0.1845 0.5685
O: 0.4346 0.6828 0.5693
O: 0.6191 0.5541 0.3204
O: 0.1203 0.0555 0.3198
O: 0.8054 0.3704 0.3202
O: 0.3050 0.8702 0.3200
O: 0.6948 0.1296 0.6800
O: 0.1954 0.6302 0.6800
O: 0.8809 0.9458 0.6797
O: 0.3796 0.4443 0.6802

Output
excess energy over the best structure of this formula in the dataset	0	meV/atom
E_form	-2.028	eV per atom
total magnetic moment	0.0	μB per cell
total energy	-6.46	eV/atom